Record 1
This record from the Materials Project describes crystalline Na10In8Si5S7O48 at its relaxed geometry. The functional is PBE.

extended XYZ file:
```
234
Lattice="-2.3870 -15.4777 -9.3254 -0.3591 -0.0652 9.1385 -22.8248 3.5267 -0.8064" Properties=species:S:1:pos:R:3 pbc="T T T"
O -14.6333 -4.2596 3.1167
O -9.7735 1.2017 7.3227
O -15.1903 -1.4681 -1.7021
Na -13.0049 -6.2298 3.8538
S -11.7838 -11.2018 0.8666
Na -14.1617 -13.7606 -0.6081
O -12.3055 -7.3527 0.6694
O -23.1478 -9.4215 -3.7460
O -23.7438 -5.4899 -1.9949
Si -13.6962 -0.7854 -1.8443
Na -8.0268 -11.9849 1.2196
Na -7.2522 -9.7444 -3.1147
S -3.2723 -7.2529 1.2301
O -22.8059 0.8547 5.5950
O -9.4043 -13.1308 -1.7311
O -10.0546 -9.2701 -2.3984
Na -10.1356 -0.9851 -1.6523
O -2.6669 -3.7059 5.4787
In -22.1022 -12.4267 -0.8364
In -23.3626 -1.7424 -0.8620
O -19.7991 -4.8022 1.9350
O -6.5416 -1.6304 6.0671
O -6.3427 -8.5701 3.1499
In -19.2505 0.3044 3.9401
O -1.1650 -3.4911 0.7408
O -10.2922 -2.2729 0.5193
S -23.1073 -9.4337 -2.2546
S -14.3322 -3.1165 2.2035
O -6.1366 -0.3887 3.5010
Na -15.9788 -0.3286 4.0661
O -7.8274 -13.2615 -5.8862
O -3.4595 -7.3590 2.6893
Si -19.5106 -10.5638 0.5786
O -9.5910 -7.3731 0.4717
O -11.9740 -12.5584 0.3247
S -18.5822 -5.1067 1.1483
Na -8.5413 -14.5024 -3.7679
In -13.6605 -8.4496 -0.3588
In -20.5084 -7.4459 -0.6875
Si -6.9550 -6.8643 -2.1508
S -21.6828 0.5798 6.5190
S -7.6332 -9.2287 2.8788
O -7.3336 -8.1355 -1.1748
O -6.1860 -2.7833 -1.0058
O -7.7557 -12.0713 -3.3259
Si -3.6271 -10.3034 -3.4389
S -21.8849 -1.6971 2.4214
O -8.4209 -8.4129 -5.6818
O -12.0320 -12.7829 -4.3704
Si -19.7076 -12.8636 -3.5089
In -16.3788 -5.5805 3.8994
O -6.6337 -5.5241 -1.2190
S -15.5329 -10.8451 -2.4628
O -5.1086 -10.8818 -3.8206
S -11.2593 -8.8735 -3.1902
O -8.8754 -1.5424 2.2731
O -15.5035 -2.7912 1.3401
O -21.6662 -7.5315 1.1231
O -16.0593 2.0168 6.6847
O -20.9420 2.9877 0.7480
O -21.6212 -0.5087 -1.7085
O -7.9427 -10.8755 -0.9371
S -14.6015 -5.4419 -1.9219
O -4.4296 0.3161 1.7371
O -4.6632 -15.1030 -1.9726
O -14.7076 -6.8373 -1.4281
O -10.4150 -10.6545 0.6154
S -10.6243 -3.4577 5.5324
Na -8.6284 -4.3261 -0.1638
Na -22.8700 -7.0036 -4.1625
O -7.2390 -0.6694 -1.0201
O -2.8367 -12.9769 -6.5777
In -5.0744 -4.5359 -0.1281
Si -10.9213 -6.5534 0.9955
O -8.5128 0.3327 5.1057
O -21.7682 -8.8693 -1.9148
O -4.1024 -13.7543 -8.4021
O -24.1958 -8.6117 -1.6773
O -22.0342 -3.0934 2.9035
O -10.9787 -7.6646 -4.0148
Si -6.7951 -4.6048 2.9519
Si -22.2799 -4.7807 -2.1853
O -11.7190 -2.6439 4.9263
O -14.6350 -5.4343 -3.4087
Si -17.8650 -2.8262 -3.8709
Na -17.7242 -0.2360 6.7295
O -5.1584 -0.8271 7.8148
O -12.5097 -1.7393 -1.2390
Na -18.6504 -5.0166 -2.0148
In -3.4393 0.5092 -0.0814
S -18.8274 -7.3915 -3.9307
O -13.3460 -4.7718 -1.5554
O -11.2489 -0.8658 2.2991
O -14.4110 -11.2653 -3.3381
O -17.7720 0.1681 2.1835
O -9.3409 -14.1474 -7.8310
In -7.8609 -1.3903 4.1975
O -16.9317 -3.7521 4.7205
O -15.7953 -12.0488 -1.6128
O -5.6271 -5.4568 3.7180
S -17.5923 0.2891 0.7154
O -17.5181 -6.7282 -4.1551
O -1.9628 -6.6209 0.9758
O -8.1414 -6.3897 -3.1686
S -15.7882 -13.1947 -6.6079
Si -14.9280 -8.5354 -6.4960
O -23.3608 -11.0249 -6.2035
Si -8.1471 -14.6007 -6.8152
In -20.6001 -4.6354 -5.2287
O -18.1306 -1.3637 4.6680
O -11.5666 -11.1532 -6.7843
Na -6.0313 -2.0057 1.5457
S -3.8982 -12.5643 -7.5286
O -2.3594 -11.2279 -3.9269
O -13.1494 -3.4983 1.4189
In -2.2178 -10.2895 -0.2318
In -11.9433 -3.5287 -0.3923
Na -14.6664 -3.0590 5.3203
O -15.7886 -4.7208 -1.3558
O -13.5383 0.9144 3.3303
O -14.4853 -12.5948 -6.2598
O -9.7706 0.0716 0.6442
O -16.3591 -9.2121 -6.1830
In -4.6411 -7.2331 -4.7466
In -10.6811 -14.1563 -0.5093
O -19.9397 -6.6455 -4.5774
S -22.8788 -7.1210 1.8738
S -6.4513 -1.4855 7.5440
O -21.0259 -5.6620 -1.5631
O -13.9394 -0.7479 5.6198
S -10.0559 -1.1367 1.4572
O -3.9192 -3.1434 0.8463
O -14.7724 -7.0348 -5.7882
O -18.2461 -3.9053 0.3123
O -11.2540 0.5145 5.3774
O -5.5849 -14.2500 -4.1037
O -7.7211 -9.3775 1.4029
In -0.9913 -2.5566 4.3991
O -6.7488 -3.1356 3.7326
Na -11.3681 -8.7262 -6.3338
O -19.3074 -11.5096 -4.3750
O -5.6192 -7.4147 -2.9226
Si -21.0796 2.9713 2.4092
O -11.4861 -10.0146 -4.1273
O -7.3701 -10.5258 -5.6684
O -18.9007 -8.7725 -4.4303
O -22.6060 -5.9095 2.7204
O -16.9310 -12.4457 -6.0152
O -8.2206 -5.3828 2.9576
O -22.1568 -3.2934 -1.4968
O -15.1891 -9.6655 -1.6250
O -18.9852 -7.4365 -2.4419
O -22.1660 -4.7629 -3.8504
O -3.3529 -8.6052 0.6034
O -10.7962 -5.0676 0.3022
O -16.7420 -10.5059 -3.2636
S -2.7014 -4.8286 -2.8666
Si -2.4351 -2.5666 1.2265
O -13.6284 -9.3847 -5.9248
Na -20.0567 -2.4306 -0.8839
In -9.4991 -6.4398 4.1625
O -20.5899 -1.0838 2.7971
O -19.1031 -10.3963 -6.9288
O -2.1526 -0.8741 5.2664
Na -4.4239 -2.1838 4.1858
O -4.3841 -6.5042 0.5586
In -6.2628 -12.2735 -4.7952
O -15.8708 -13.3091 -8.0791
O -20.5938 -11.2290 -8.7443
Si -7.9825 -12.3416 -1.7161
O -12.4364 -8.6096 -2.3252
O -19.2545 -3.6489 -4.0878
O -15.2123 -8.4602 0.9958
Na -6.4537 -4.2018 -3.2589
O -23.0343 -0.9550 2.9933
Si -9.7867 1.2214 5.6609
O -14.0671 -1.9165 3.0630
Na -19.2583 -10.2287 -2.3468
O -17.4327 -5.5002 1.9987
O -12.8256 -10.3590 0.2276
O -2.4495 -2.3860 2.8890
O -22.8239 -8.1847 -6.3358
Na -7.3618 -6.7791 0.8906
O -2.9095 -6.0192 -3.7398
O -2.1634 -1.0504 0.5955
Na -17.0224 -8.2691 -0.2886
O -19.3757 -9.0998 -0.2144
O -21.4646 1.7774 7.3753
O -18.6966 1.0461 0.0681
In -17.7228 -10.4425 -5.3835
O -3.3537 -8.7856 -4.0724
O -24.0155 -6.8088 0.9831
O -3.9639 -4.4863 -2.1410
O -22.5686 2.2743 2.5916
Na -9.8488 -12.0262 -4.8340
O -6.5710 -4.3339 1.3410
O -3.1643 -14.3581 -3.6820
O -9.2885 -2.8587 5.2546
O -20.4358 0.1952 5.7954
Na -1.2542 -7.7789 -4.6514
O -23.3222 -10.7989 -1.7451
In -24.5514 -9.4891 -5.5255
O -18.2856 -11.4009 -0.1314
O -6.8218 -13.1968 -0.9422
In -16.4221 -2.7412 -0.6553
In -17.5911 -13.2350 -0.7582
O -3.8682 -11.4393 0.8140
O -21.9160 -1.6838 0.9285
Na -5.6413 -9.9222 -0.4809
Na -19.8638 -12.7199 -6.5604
O -1.6421 -5.2513 -1.9146
Na -2.0876 -0.0772 2.7359
Na -0.0099 -0.0490 0.0221
S -4.4706 -14.9980 -3.4338
O -20.9706 -12.4447 -2.5675
O -13.5298 0.7203 -1.2025
O -16.2787 0.9423 0.5119
O -19.8585 2.0617 3.0354
O -17.6185 1.3741 4.7666
O -3.6445 -10.1110 -1.7771
O -10.7910 -4.8134 4.9788
O -17.6484 -1.0622 0.0824
Na -3.3088 -7.8099 -1.9295
Na -21.1526 -10.2215 -5.6384
In -9.0704 -9.1325 -0.4678
O -10.9551 -6.5471 2.6581
O -5.1605 -12.2209 -6.8062
O -17.8539 -2.7029 -2.1979
O -18.8007 -6.2475 0.2031
In -12.3693 -0.7203 4.1864
O -10.3901 -3.4122 -2.1191
In -13.1537 -11.2095 -5.1040
Na -21.6508 0.7645 0.4974
Na -13.6739 1.7001 5.8441
```

**Magnetization**: 0.00 Bohr magnetons per cell
**Energy of formation**: -2230 meV per atom
**Total energy after the MP2020 corrections**: -1508.171 eV/cell
**Calculated density**: 3.41 g cm⁻³

=====

Record 2
This record from the Materials Project describes crystalline Na3MgTa5Si3P6O36 at its relaxed geometry. The functional is PBE.

extended XYZ file:
```
108
Lattice="-4.0593 -7.7029 1.1274 8.3421 0.9813 2.5551 -7.1052 6.7596 20.6013" Properties=species:S:1:pos:R:3 pbc="T T T"
O -2.9640 -1.3313 19.7362
P -2.9183 -4.4998 2.6308
Ta 4.0646 -1.7766 2.4960
O 1.7799 2.5978 11.7437
O 1.2201 -3.5127 9.2601
O -4.6344 -2.6010 12.6266
O 2.1853 1.9967 9.1527
Ta -4.5869 4.3638 13.2995
Ta -2.5277 2.4047 7.3289
P -2.9312 -0.5522 5.4842
Si 2.4786 -1.0168 11.7102
P -1.7008 -0.5588 14.3925
Na -7.0975 6.7523 20.5790
Ta -6.8739 1.8023 21.7500
O -2.4571 5.2483 19.1196
Na -3.5449 3.3725 10.2783
O -3.9911 3.5838 15.0109
Mg -1.2555 -3.5428 5.4597
O -2.2842 -1.7952 5.9989
O 2.1594 -1.7147 3.2120
O -2.6620 3.2665 17.0930
O -8.9108 -0.9067 17.5459
O -5.0546 -2.0721 15.0990
P -4.1070 3.1072 16.5129
O 6.0471 0.9669 6.6967
P 0.6821 -6.1584 4.4167
O 1.6377 2.0216 14.4410
O -2.5400 -3.8228 3.9058
O -2.8544 -0.0621 15.1983
O 3.9913 3.3852 10.5630
O -4.6489 1.7244 16.6634
P -3.4178 -5.7063 7.0075
Na -0.5279 2.5925 15.8118
O -0.0801 -0.5388 17.7125
O 1.4083 0.8690 6.6485
Si 0.0817 4.5561 21.6899
Si 2.4054 3.1049 10.3326
O -5.5008 0.6801 14.0421
O -1.9926 1.6873 9.0563
O -4.4115 -1.9089 9.8796
O -1.7030 -5.0058 1.7917
O -5.0571 1.8128 21.0706
Ta -1.5605 3.5749 18.8058
O -3.6910 5.7519 21.4568
Si -3.5223 6.2053 19.9058
Ta 0.5120 1.6032 12.7967
O -6.7508 -0.1498 16.5534
O 0.8555 -5.7529 2.9193
O 2.2779 -4.0591 7.0459
Si -3.4676 2.0814 21.2777
O -0.3786 3.8249 20.3035
O -2.5883 -4.4867 6.7772
O 0.0737 -2.4619 4.3607
O 0.1428 1.3070 4.5488
O -2.3704 -3.2102 11.0105
O 0.4497 -3.0746 1.9006
O -4.2625 -0.8860 17.6532
Mg -4.8081 -0.1630 15.7604
Si -1.1344 0.6153 9.9286
O 1.8811 5.3093 16.4701
O -0.0285 -0.6919 2.5187
O 1.9404 -2.5492 11.8028
O -6.7678 -3.3592 13.7045
O -4.9869 6.1267 19.2019
O 2.1392 -6.1091 5.0438
O 0.1585 0.0903 9.0792
P -5.3195 1.0649 12.6117
O 1.0278 5.8404 21.3703
O -0.2066 4.4768 17.5427
O 1.4168 -0.0686 12.4933
O -2.8347 2.5920 19.8610
O -2.7598 0.6956 21.7520
O -5.0434 4.1217 17.2298
P -5.2367 -3.0569 13.9927
O -0.2857 -5.3088 5.1709
O -4.7757 2.5474 12.4535
O -7.4155 2.5119 20.0279
O -0.5439 3.2767 13.2768
Ta -1.0343 0.9840 2.9989
O -1.2024 5.0825 22.5347
O 3.8922 0.2398 7.7116
Na -5.8023 0.7829 18.6430
O -0.6790 1.3463 11.3063
P -3.4626 -1.9139 18.3826
O -2.0833 -0.6586 10.2723
O -7.0504 0.0370 20.9658
Ta -3.3213 -1.5775 11.4493
P -8.1907 -0.4114 16.2589
O -0.7332 0.6293 14.0801
Na -2.2497 -2.5969 8.3423
O -0.6033 1.8304 18.2742
Ta -6.0803 5.7845 17.6296
O -0.8321 -1.6262 15.1830
O 2.6438 -0.5612 10.1502
Ta 1.9921 0.1951 8.5051
P 0.6371 -2.0321 3.0473
O 4.5648 -2.5452 4.3141
O 1.8855 -1.6745 7.6477
O -3.2467 3.1805 22.4537
Na 3.0247 -0.7873 5.5112
O -4.3130 0.1629 11.8306
O -3.8285 -5.7764 2.8764
O -2.7887 0.5892 6.5316
O -4.6918 -5.3323 7.8182
O 4.2942 0.0482 3.3698
O -2.1083 -1.2557 13.0564
P 1.2466 -3.0989 7.7607
O -0.1319 -3.1689 7.1919
```

**Magnetization**: 0.00 Bohr magnetons per cell
**Energy of formation**: -3060 meV per atom
**Total energy after the MP2020 corrections**: -913.993 eV/cell
**Calculated density**: 4.02 g cm⁻³

=====

Record 3
This record from the Materials Project describes crystalline Na3Hf2In2P5SO24 at its relaxed geometry. The functional is PBE.

extended XYZ file:
```
111
Lattice="-2.8229 -0.0884 8.4730 -5.1472 -3.4113 -6.4377 9.8775 -20.6676 3.1142" Properties=species:S:1:pos:R:3 pbc="T T T"
O -0.3838 -6.9264 -0.9329
O -5.0534 -4.6475 -1.0309
O -1.1557 -3.3790 5.0604
O 2.6111 -17.1177 -2.8123
In 3.6467 -19.2341 1.0300
P 0.5605 -10.8804 -2.6845
O -2.8031 -3.8205 -2.6809
Hf 1.1242 -11.1612 5.0397
S 1.6320 -5.1920 3.2528
O -0.7171 -6.8934 8.1210
P -5.0946 -3.9339 4.3355
P 4.4563 -12.2305 4.7124
O 6.4362 -17.2389 3.0802
O 4.6312 -20.8965 5.1146
Hf 6.1267 -21.4754 6.5724
O 3.1003 -11.4845 4.6545
O -0.5728 -2.3901 0.8042
In -1.2240 -8.8509 -0.4937
Hf -4.4272 -10.7289 3.0550
O -0.3109 -11.2424 -3.9295
O 0.2100 -15.0030 -0.6342
O 3.7905 -20.0806 3.0561
Na -0.1584 -13.7886 -4.7425
O 2.4713 -21.6583 4.3815
O -6.0482 -4.6120 3.3463
O 2.2835 -6.3290 2.5414
O 0.6696 -4.7033 -0.5862
O 1.6067 -9.3318 5.8913
Na -1.0754 -15.4142 1.2757
Hf 3.1762 -15.3951 5.5793
P 0.9482 -17.9822 6.2601
Na -2.7802 -5.7854 -0.8570
O 5.4179 -16.6850 9.3438
O 4.4030 -22.4625 3.2395
O -4.8488 -2.4874 3.8435
Na 4.7205 -18.4038 6.0617
P -1.2497 -1.9385 5.6253
O 0.2804 -5.6821 3.6732
O 8.0045 -19.4047 1.7304
O 4.9239 -20.3744 7.8602
O -2.6673 -1.7382 2.0112
P 0.9214 -6.1347 -1.1132
In -4.2137 -2.7021 -1.4507
O 2.2329 -12.7630 8.9444
O 4.1952 -13.6769 5.2259
Hf -1.7787 -5.0685 4.0801
In 1.2395 -16.7912 -4.3464
P 0.6629 -14.2367 3.4190
O -0.7132 -14.9159 3.6233
O 6.8964 -21.6215 1.3983
O 3.4316 -22.1469 -2.0638
P -1.9499 -2.9077 1.2959
O 2.3222 -17.2588 6.0183
O 2.0642 -14.5212 7.1085
Na -0.9931 -2.8777 -1.5573
Na 2.2054 -16.0927 0.6021
O -2.7520 -8.1999 -1.9885
In 0.7673 -13.0142 0.0827
O 1.7950 -14.9907 4.1583
P 0.2539 -18.9167 1.8848
O 1.0447 -9.9789 3.2282
O -2.7655 -3.3876 0.0647
O 0.1342 -9.1837 1.1922
O 2.7877 -13.7110 -0.2107
O -3.3396 -11.8823 1.7971
O 4.1653 -17.3299 1.9434
O 1.6501 -18.5340 1.3937
P 3.1564 -22.2766 -0.5320
O 0.0255 -9.6388 -1.9735
P 5.0554 -16.5359 2.9194
O 2.8694 -20.9160 0.1056
O -3.7154 -4.6567 4.4404
O -3.4064 -9.0471 2.7576
In -6.4633 -6.5295 2.4769
O 5.2345 -15.1558 2.2719
P 7.0539 -20.2115 0.7863
O -1.8043 -4.0892 2.2852
O 0.6169 -12.1410 -1.8110
O -0.8395 -10.5804 5.2629
O -2.3705 -10.5848 -0.1708
O -1.4969 -6.1729 5.8461
O 5.0693 -12.1992 3.3094
Hf 8.3681 -17.5890 2.6758
O 0.9969 -14.2237 1.9059
O -1.2890 -12.7655 0.6836
O -2.4216 -1.2078 4.9011
P -2.5870 -11.9696 0.4183
O -4.4533 -6.8485 2.0186
O 0.5660 -12.8006 3.9867
O 3.5867 -17.9107 -0.6739
O 4.5017 -16.0323 7.1412
O 4.4231 -16.4806 4.3336
O 4.3581 -23.0163 0.0658
O 5.7355 -19.4448 0.5906
O -1.7050 -1.9735 7.1089
P 1.3467 -13.3258 7.8036
O 6.9785 -19.6755 6.0718
Na -5.1106 -3.4433 -6.3142
Na 5.5294 -16.7676 0.0389
O 1.0779 -19.4058 5.6598
O -0.4098 -17.6646 2.4958
P -3.1414 -7.6157 2.1835
O 1.5224 -11.2200 1.1622
O -2.4470 -7.6809 0.8145
O 1.2446 -12.1482 6.7831
O -2.2113 -6.9091 3.2238
Na -0.3731 -8.1008 4.6366
S 1.2916 -9.8851 1.7565
S 3.8345 -21.2738 3.9098
O 2.5469 -9.1006 1.5659
O -3.6379 -7.4207 -4.0502
```

**Magnetization**: 0.00 Bohr magnetons per cell
**Energy of formation**: -2782 meV per atom
**Total energy after the MP2020 corrections**: -846.813 eV/cell
**Calculated density**: 3.83 g cm⁻³

=====

Which formula does entry 3 have? Na3Hf2In2P5SO24

=====

Which value of energy of formation does entry 3 give? -2782 meV per atom